1.
First-principles (PBE-GGA) data for a geometry-optimized PrMgGa structure, as listed in the Materials Project database.

The structure belongs to space group P-62m (No. 189); the cell edges are 7.5284, 7.5284 and 4.5653 Å and the angles 90.00°, 90.00° and 120.00°. The asymmetric unit holds Pr at (0.0000, 0.4224, 0.0000), Mg at (0.0000, 0.7576, 0.5000), Ga at (0.0000, 0.0000, 0.0000) and Ga at (0.3333, 0.6667, 0.5000).

---

2.
First-principles (PBE-GGA) data for a geometry-optimized KHfMg6O7 structure, as listed in the Materials Project database.

Its size of the total moment is 0.9 μB/cell.

The structure belongs to space group P4mm (No. 99); the cell edges are 4.178, 4.178 and 11.802 Å and the angles 90.00°, 90.00° and 90.00°. The asymmetric unit holds K at (0.000, 0.000, 0.000), Hf at (0.500, 0.500, 0.836), Mg at (0.000, 0.000, 0.452), Mg at (0.000, 0.500, 0.266), Mg at (0.000, 0.500, 0.643), Mg at (0.500, 0.500, 0.455), O at (0.000, 0.000, 0.264), O at (0.000, 0.000, 0.624), O at (0.000, 0.500, 0.450), O at (0.000, 0.500, 0.829) and O at (0.500, 0.500, 0.650).

---

no.,calculated formation energy (eV/atom),volume (Å³ per cell),mass density (kg/m3)
1,-0.48,224,5223
2,-2.61,206,3831